Entry 1:
# U3Te5, optimized geometry, DFT PBE-GGA
# Energy relative to the lowest polymorph listed for this composition (eV per atom): 0.0000
data_U3Te5
_cell_length_a 16.265
_cell_length_b 4.129
_cell_length_c 14.093
_cell_angle_alpha 90.00
_cell_angle_beta 90.00
_cell_angle_gamma 90.00
_symmetry_space_group_name_H-M 'P 1'
_symmetry_Int_Tables_number 1
_symmetry_space_group_name_Hall 'P 1'
loop_
_atom_site_label
_atom_site_fract_x
_atom_site_fract_y
_atom_site_fract_z
U1 0.120 0.250 0.250
U2 0.127 0.750 0.590
U3 0.139 0.250 0.931
U4 0.361 0.750 0.431
U5 0.373 0.250 0.090
U6 0.380 0.750 0.750
U7 0.620 0.250 0.250
U8 0.627 0.750 0.910
U9 0.639 0.250 0.569
U10 0.861 0.750 0.069
U11 0.873 0.250 0.410
U12 0.880 0.750 0.750
Te1 0.025 0.750 0.390
Te2 0.067 0.750 0.797
Te3 0.075 0.750 0.081
Te4 0.215 0.250 0.454
Te5 0.236 0.250 0.721
Te6 0.264 0.750 0.221
Te7 0.285 0.750 0.954
Te8 0.425 0.250 0.581
Te9 0.433 0.250 0.297
Te10 0.475 0.250 0.890
Te11 0.525 0.750 0.110
Te12 0.567 0.750 0.703
Te13 0.575 0.750 0.419
Te14 0.715 0.250 0.046
Te15 0.736 0.250 0.779
Te16 0.764 0.750 0.279
Te17 0.785 0.750 0.546
Te18 0.925 0.250 0.919
Te19 0.933 0.250 0.203
Te20 0.975 0.250 0.610



Entry 2:
Here is an optimized crystal structure of U2Te3 from Materials Project. Energies are from PBE-GGA.

Structure (CIF):
```
data_U2Te3
_cell_length_a 15.310
_cell_length_b 15.310
_cell_length_c 15.310
_cell_angle_alpha 145.01
_cell_angle_beta 145.01
_cell_angle_gamma 50.32
_symmetry_space_group_name_H-M 'P 1'
_symmetry_Int_Tables_number 1
_symmetry_space_group_name_Hall 'P 1'
loop_
_atom_site_label
_atom_site_fract_x
_atom_site_fract_y
_atom_site_fract_z
U1 0.044 0.165 0.626
U2 0.168 0.168 0.000
U3 0.169 0.789 0.874
U4 0.211 0.085 0.379
U5 0.253 0.625 0.128
U6 0.375 0.503 0.628
U7 0.497 0.125 0.872
U8 0.539 0.419 0.374
U9 0.581 0.956 0.121
U10 0.582 0.082 0.500
U11 0.706 0.831 0.621
U12 0.832 0.832 0.000
U13 0.835 0.461 0.879
U14 0.875 0.747 0.372
U15 0.915 0.294 0.126
U16 0.918 0.418 0.500
Te1 0.011 0.760 0.906
Te2 0.073 0.476 0.250
Te3 0.176 0.927 0.402
Te4 0.186 0.440 0.095
Te5 0.190 0.436 0.595
Te6 0.226 0.323 0.750
Te7 0.226 0.824 0.750
Te8 0.240 0.146 0.250
Te9 0.345 0.091 0.905
Te10 0.405 0.810 0.246
Te11 0.510 0.261 0.406
Te12 0.524 0.774 0.098
Te13 0.524 0.774 0.598
Te14 0.560 0.655 0.746
Te15 0.564 0.159 0.754
Te16 0.574 0.476 0.250
Te17 0.677 0.426 0.902
Te18 0.739 0.146 0.250
Te19 0.841 0.595 0.405
Te20 0.854 0.104 0.094
Te21 0.854 0.104 0.594
Te22 0.896 0.490 0.750
Te23 0.896 0.989 0.750
Te24 0.909 0.814 0.254
```



Entry 3:
# U3Te5, optimized geometry, DFT PBE-GGA
# Energy relative to the lowest polymorph listed for this composition (eV per atom): 0.0429
data_U3Te5
_cell_length_a 13.207
_cell_length_b 8.800
_cell_length_c 8.333
_cell_angle_alpha 90.00
_cell_angle_beta 90.00
_cell_angle_gamma 90.00
_symmetry_space_group_name_H-M 'P 1'
_symmetry_Int_Tables_number 1
_symmetry_space_group_name_Hall 'P 1'
loop_
_atom_site_label
_atom_site_fract_x
_atom_site_fract_y
_atom_site_fract_z
U1 0.006 0.250 0.082
U2 0.181 0.503 0.525
U3 0.181 0.997 0.525
U4 0.319 0.003 0.025
U5 0.319 0.497 0.025
U6 0.494 0.750 0.582
U7 0.506 0.250 0.418
U8 0.681 0.503 0.975
U9 0.681 0.997 0.975
U10 0.819 0.003 0.475
U11 0.819 0.497 0.475
U12 0.994 0.750 0.918
Te1 0.000 0.250 0.464
Te2 0.000 0.750 0.536
Te3 0.099 0.549 0.171
Te4 0.099 0.951 0.171
Te5 0.181 0.250 0.829
Te6 0.219 0.750 0.802
Te7 0.281 0.250 0.302
Te8 0.319 0.750 0.329
Te9 0.401 0.049 0.671
Te10 0.401 0.451 0.671
Te11 0.500 0.250 0.036
Te12 0.500 0.750 0.964
Te13 0.599 0.549 0.329
Te14 0.599 0.951 0.329
Te15 0.681 0.250 0.671
Te16 0.719 0.750 0.698
Te17 0.781 0.250 0.198
Te18 0.819 0.750 0.171
Te19 0.901 0.049 0.829
Te20 0.901 0.451 0.829



Entry 4:
Here is an optimized crystal structure of V9Te8 from Materials Project. Energies are from PBE-GGA.

Structure (CIF):
```
data_V9Te8
_cell_length_a 7.101
_cell_length_b 7.210
_cell_length_c 7.729
_cell_angle_alpha 74.39
_cell_angle_beta 74.16
_cell_angle_gamma 89.75
_symmetry_space_group_name_H-M 'P 1'
_symmetry_Int_Tables_number 1
_symmetry_space_group_name_Hall 'P 1'
loop_
_atom_site_label
_atom_site_fract_x
_atom_site_fract_y
_atom_site_fract_z
V1 0.000 0.000 0.000
V2 0.004 0.004 0.555
V3 0.066 0.726 0.326
V4 0.074 0.708 0.832
V5 0.226 0.064 0.198
V6 0.252 0.087 0.694
V7 0.781 0.930 0.350
V8 0.929 0.286 0.221
V9 0.943 0.285 0.719
Te1 0.222 0.358 0.885
Te2 0.224 0.357 0.375
Te3 0.349 0.813 0.485
Te4 0.350 0.815 0.983
Te5 0.662 0.184 0.061
Te6 0.667 0.192 0.565
Te7 0.784 0.648 0.163
Te8 0.790 0.651 0.672
```



no.,E (eV/cell),formation energy from the elements (eV/atom)
1,-219.317,-0.92
2,-281.198,-0.88
3,-217.943,-0.88
4,-112.019,-0.50